[1]
Here is Na2Ca2SiSn2S5O24 after structural relaxation from the Materials Project. Energies are from PBE.

The structure in POSCAR format:
```
Na2Ca2SiSn2S5O24
1.0
9.031 -0.005 0.005
-4.520 7.827 0.003
0.015 0.013 23.460
S O Na Ca Sn Si
15 72 6 6 6 3
Cartesian
3.130 5.477 5.844
1.322 3.005 9.678
-1.306 2.325 5.797
1.323 7.549 9.714
-1.380 2.985 21.511
3.223 5.061 13.763
-3.107 5.548 17.629
5.939 0.382 2.011
-2.661 5.162 9.732
2.665 5.112 21.563
1.280 2.364 17.621
3.008 0.244 13.799
-1.238 7.633 21.569
1.902 2.517 1.991
7.312 2.526 13.755
0.994 1.320 2.099
2.750 2.616 3.200
1.117 3.733 1.886
0.968 6.771 10.892
0.893 6.368 17.706
0.710 1.717 16.375
-3.496 6.371 9.658
1.649 5.264 5.953
2.740 7.537 16.299
3.544 4.296 14.959
-1.125 3.784 20.235
-0.922 6.852 22.745
5.375 3.990 3.339
5.196 1.050 9.723
6.253 2.542 5.630
5.289 0.998 3.194
3.756 4.125 5.666
0.798 6.875 8.427
-0.729 1.673 4.556
1.002 3.798 8.372
0.509 3.682 17.713
2.783 7.666 9.619
-1.591 5.379 17.710
-0.978 6.697 13.721
3.589 6.242 21.484
2.792 2.864 9.671
-0.902 3.680 22.685
1.481 0.150 13.931
5.536 3.943 9.753
3.707 6.084 7.019
1.767 5.310 13.706
6.516 2.364 12.526
3.226 0.994 12.548
-0.791 1.654 21.444
0.904 6.854 1.902
5.444 6.201 18.832
5.321 4.230 17.486
1.852 4.949 20.291
5.112 4.254 0.640
8.178 1.259 13.836
-1.829 5.032 8.431
6.493 2.632 14.954
5.326 1.219 17.552
-0.772 6.465 5.951
7.192 0.096 19.015
3.789 1.323 5.619
-1.690 5.090 2.025
-1.789 5.259 10.894
-0.656 3.680 5.894
2.694 2.655 17.459
5.679 1.182 0.756
2.725 2.249 0.751
0.856 3.726 10.851
3.555 0.910 14.969
6.125 2.854 21.555
3.724 4.436 12.527
1.823 5.218 22.735
3.480 3.811 21.593
-2.666 7.546 4.498
3.937 6.420 13.824
1.838 0.019 21.470
4.954 6.372 2.117
3.985 1.175 21.642
1.964 0.312 7.165
3.310 6.336 4.609
-0.682 7.017 20.302
0.653 1.701 9.614
7.907 1.520 6.989
7.433 0.376 2.172
-0.805 3.688 13.681
-3.299 6.399 16.387
1.055 1.571 18.812
4.554 7.678 0.032
0.083 5.304 15.612
4.509 7.827 11.723
-0.295 5.280 3.903
4.383 2.460 7.922
4.648 2.447 19.327
4.489 2.584 11.385
0.117 0.016 8.186
9.008 0.006 20.006
4.551 2.584 16.047
0.005 5.259 12.226
-0.086 5.228 0.578
-4.387 7.718 3.561
4.564 2.701 23.060
0.047 5.268 19.096
4.428 7.808 15.348
-0.052 5.295 7.405
4.534 2.600 4.356
2.775 0.011 5.862
1.813 7.786 17.668
5.758 4.905 2.040
```

Values from the calculation:
As for the magnetic moment: 0.17 μB/cell. For the formation energy, the calculation gives -2.26 eV/atom.



[2]
Here is OsSeS3Cl4 after structural relaxation from the Materials Project. Energies are from PBE.

The structure in POSCAR format:
```
OsSeS3Cl4
1.0
9.316 0.000 0.000
0.000 9.568 0.000
0.000 3.238 11.429
Cl Os Se S
16 4 4 12
Cartesian
4.903 5.506 2.958
7.569 7.191 11.183
9.293 5.956 2.449
2.816 1.838 0.749
4.504 1.738 3.502
2.892 9.354 6.183
6.482 6.992 6.372
0.019 4.017 10.035
0.245 7.300 8.471
4.677 8.789 1.394
1.824 5.815 5.057
9.162 11.068 7.927
7.474 10.968 10.680
7.550 3.452 5.247
4.635 6.850 8.980
2.911 5.615 0.246
2.815 9.841 2.573
1.590 7.537 3.323
7.473 2.965 8.856
6.248 5.269 8.106
2.769 5.438 2.447
8.320 9.875 1.524
3.662 2.931 9.905
7.427 7.368 8.982
1.306 8.654 1.407
5.975 11.305 7.725
3.377 8.505 4.342
1.317 1.501 3.704
2.990 3.843 7.949
5.964 4.152 10.022
0.052 8.702 4.521
4.710 4.104 6.908
9.119 2.158 2.505
8.035 4.301 7.087
7.648 8.963 3.480
4.461 10.648 8.924
```

Values from the calculation:
As for the magnetic moment: 0.00 μB/cell. For the formation energy, the calculation gives -0.75 eV/atom.



[3]
Here is Ga3C3N7 after structural relaxation from the Materials Project. Energies are from PBE.

The structure in POSCAR format:
```
Ga3C3N7
1.0
6.584 0.000 0.000
0.000 13.107 0.000
0.000 0.000 14.463
N C Ga
56 24 24
Cartesian
5.269 0.915 7.445
0.660 0.744 4.623
1.106 4.960 1.286
2.632 12.362 11.854
1.977 5.638 7.018
4.566 8.252 0.198
5.964 3.344 11.063
5.315 8.511 6.577
0.107 0.744 9.448
2.023 11.148 7.886
2.520 9.758 1.163
2.248 11.555 5.489
2.572 7.300 2.788
4.012 0.746 4.443
5.924 7.298 2.609
1.044 1.551 12.720
4.398 1.593 13.177
0.772 3.348 8.395
5.478 11.513 5.946
3.185 12.362 2.217
4.561 4.595 13.809
0.620 9.898 10.632
3.804 2.910 9.119
3.952 5.809 9.840
6.078 3.040 3.201
2.780 9.463 12.576
5.812 9.902 13.300
0.512 3.643 5.344
5.540 8.105 8.975
5.310 4.854 7.430
4.463 1.877 1.153
2.786 3.513 11.262
2.121 8.430 6.078
1.171 4.676 13.310
5.413 11.230 8.385
4.608 12.192 0.214
1.274 11.407 14.265
0.720 5.807 10.020
3.399 5.809 5.015
2.672 3.209 3.400
4.336 5.002 1.743
3.798 10.067 10.433
5.864 12.360 11.675
1.315 7.468 14.249
1.269 1.958 0.654
3.192 0.073 9.606
0.101 13.033 2.374
2.186 8.146 8.517
6.477 7.297 12.246
4.064 3.205 6.068
2.018 1.699 7.034
6.072 10.196 1.887
0.506 9.593 4.030
3.912 9.762 3.831
6.484 6.480 4.857
3.393 6.626 12.089
3.707 6.264 10.989
3.844 12.289 1.225
3.370 9.733 11.553
5.486 8.346 7.778
0.415 0.289 3.474
1.349 2.578 7.697
2.194 11.314 6.686
5.449 11.346 7.208
4.641 3.975 6.766
4.427 1.760 14.440
5.235 9.131 13.998
1.135 4.793 0.024
2.877 12.817 10.706
0.078 9.926 2.910
1.943 10.528 0.465
2.740 5.736 6.007
0.552 7.371 13.238
4.390 4.760 0.546
6.032 0.818 8.456
6.506 3.373 4.321
2.157 8.313 7.255
6.169 6.842 3.757
1.098 1.793 13.917
3.214 3.180 10.142
0.796 11.069 12.341
6.461 1.228 11.313
0.124 7.781 10.382
2.258 6.148 8.885
1.228 3.127 2.089
4.520 3.426 12.375
4.088 8.591 2.122
2.294 8.696 4.230
2.496 2.038 5.109
5.586 10.964 10.233
4.290 2.143 3.001
5.357 9.680 5.143
6.382 11.847 0.943
3.494 1.260 8.174
0.998 4.410 11.462
2.064 9.979 9.320
3.416 11.879 4.082
5.550 0.406 5.579
3.090 7.813 13.521
0.202 5.294 6.289
1.034 6.959 1.653
5.788 4.515 9.354
4.326 12.701 12.810
3.168 5.325 3.150
```

Values from the calculation:
As for the magnetic moment: 0.00 μB/cell. For the formation energy, the calculation gives -0.09 eV/atom.



[4]
Here is HgRuO3 after structural relaxation from the Materials Project. Energies are from PBE.

The structure in POSCAR format:
```
HgRuO3
1.0
3.944 0.000 0.000
0.000 3.944 0.000
0.000 0.000 3.944
O Ru Hg
3 1 1
Cartesian
1.972 1.972 0.000
1.972 0.000 1.972
0.000 1.972 1.972
1.972 1.972 1.972
0.000 0.000 0.000
```

Values from the calculation:
As for the magnetic moment: 0.01 μB/cell. For the formation energy, the calculation gives -0.83 eV/atom.



What did the fourth record say?
Here is HgRuO3 after structural relaxation from the Materials Project. Energies are from PBE.

The structure in POSCAR format:
```
HgRuO3
1.0
3.944 0.000 0.000
0.000 3.944 0.000
0.000 0.000 3.944
O Ru Hg
3 1 1
Cartesian
1.972 1.972 0.000
1.972 0.000 1.972
0.000 1.972 1.972
1.972 1.972 1.972
0.000 0.000 0.000
```

Values from the calculation:
As for the magnetic moment: 0.01 μB/cell. For the formation energy, the calculation gives -0.83 eV/atom.



What is the formula in the fourth record? HgRuO3